Record 1
{"formula": "TbNiO3", "functional": "PBE with a Hubbard U", "state": "relaxed", "space_group": "Pm-3m, No. 221", "energy_ev_per_atom": -6.427, "formation_energy_ev_per_atom": -2.30, "total_magnetization_mub_per_fu": 1.00, "cell": [[3.739, 0.000, 0.000], [0.000, 3.739, 0.000], [0.000, 0.000, 3.739]], "species": ["Tb", "Ni", "O", "O", "O"], "fractional_positions": [[0.000, 0.000, 0.000], [0.500, 0.500, 0.500], [0.000, 0.500, 0.500], [0.500, 0.000, 0.500], [0.500, 0.500, 0.000]]}


Record 2
{"formula": "NiTe6O13", "functional": "PBE with a Hubbard U", "state": "relaxed", "space_group": "R-3, No. 148", "energy_ev_per_atom": -5.341, "formation_energy_ev_per_atom": -1.47, "cell": [[5.153, 2.975, 6.421], [-5.153, 2.975, 6.421], [0.000, -5.950, 6.421]], "species": ["Ni", "Ni", "Te", "Te", "Te", "Te", "Te", "Te", "Te", "Te", "Te", "Te", "Te", "Te", "O", "O", "O", "O", "O", "O", "O", "O", "O", "O", "O", "O", "O", "O", "O", "O", "O", "O", "O", "O", "O", "O", "O", "O", "O", "O"], "fractional_positions": [[0.243, 0.243, 0.243], [0.757, 0.757, 0.757], [0.029, 0.922, 0.324], [0.078, 0.676, 0.971], [0.167, 0.488, 0.560], [0.324, 0.029, 0.922], [0.440, 0.833, 0.512], [0.488, 0.560, 0.167], [0.512, 0.440, 0.833], [0.560, 0.167, 0.488], [0.676, 0.971, 0.078], [0.833, 0.512, 0.440], [0.922, 0.324, 0.029], [0.971, 0.078, 0.676], [0.049, 0.381, 0.134], [0.103, 0.417, 0.399], [0.116, 0.876, 0.801], [0.124, 0.199, 0.884], [0.134, 0.049, 0.381], [0.198, 0.702, 0.446], [0.199, 0.884, 0.124], [0.298, 0.554, 0.802], [0.381, 0.134, 0.049], [0.399, 0.103, 0.417], [0.414, 0.414, 0.414], [0.417, 0.399, 0.103], [0.446, 0.198, 0.702], [0.554, 0.802, 0.298], [0.583, 0.601, 0.897], [0.586, 0.586, 0.586], [0.601, 0.897, 0.583], [0.619, 0.866, 0.951], [0.702, 0.446, 0.198], [0.801, 0.116, 0.876], [0.802, 0.298, 0.554], [0.866, 0.951, 0.619], [0.876, 0.801, 0.116], [0.884, 0.124, 0.199], [0.897, 0.583, 0.601], [0.951, 0.619, 0.866]]}


Record 3
{"formula": "Ni3Te2O8", "functional": "PBE with a Hubbard U", "state": "relaxed", "space_group": "P2_1, No. 4", "energy_ev_per_atom": -5.022, "formation_energy_ev_per_atom": -1.17, "total_magnetization_mub_per_fu": 5.61, "de_polymorph_mev_per_atom": 81, "cell": [[12.866, 0.000, 0.000], [0.000, 4.958, 0.000], [-6.430, 0.000, 11.157]], "species": ["Ni", "Ni", "Ni", "Ni", "Ni", "Ni", "Ni", "Ni", "Ni", "Ni", "Ni", "Ni", "Te", "Te", "Te", "Te", "Te", "Te", "Te", "Te", "O", "O", "O", "O", "O", "O", "O", "O", "O", "O", "O", "O", "O", "O", "O", "O", "O", "O", "O", "O", "O", "O", "O", "O", "O", "O", "O", "O", "O", "O", "O", "O"], "fractional_positions": [[0.069, 0.000, 0.140], [0.070, 0.000, 0.428], [0.141, 0.502, 0.572], [0.142, 0.500, 0.069], [0.428, 0.500, 0.069], [0.428, 0.500, 0.860], [0.572, 0.000, 0.140], [0.572, 0.000, 0.931], [0.858, 0.000, 0.931], [0.859, 0.002, 0.428], [0.930, 0.500, 0.572], [0.931, 0.500, 0.860], [0.167, 0.386, 0.833], [0.226, 0.571, 0.362], [0.363, 0.065, 0.225], [0.364, 0.071, 0.639], [0.636, 0.571, 0.361], [0.637, 0.565, 0.775], [0.774, 0.071, 0.638], [0.833, 0.886, 0.167], [0.021, 0.197, 0.543], [0.022, 0.196, 0.978], [0.089, 0.804, 0.294], [0.097, 0.611, 0.694], [0.097, 0.612, 0.903], [0.180, 0.328, 0.231], [0.180, 0.329, 0.449], [0.229, 0.826, 0.177], [0.231, 0.828, 0.552], [0.294, 0.298, 0.087], [0.294, 0.303, 0.706], [0.306, 0.612, 0.903], [0.449, 0.825, 0.177], [0.449, 0.826, 0.770], [0.456, 0.196, 0.978], [0.466, 0.670, 0.452], [0.534, 0.170, 0.548], [0.544, 0.696, 0.022], [0.551, 0.325, 0.823], [0.551, 0.326, 0.230], [0.694, 0.112, 0.097], [0.706, 0.798, 0.913], [0.706, 0.803, 0.294], [0.769, 0.328, 0.448], [0.771, 0.326, 0.823], [0.820, 0.828, 0.769], [0.820, 0.829, 0.551], [0.903, 0.111, 0.306], [0.903, 0.112, 0.097], [0.911, 0.304, 0.706], [0.978, 0.696, 0.022], [0.979, 0.697, 0.457]]}


Record 4
{"formula": "NiTe4O12", "functional": "PBE with a Hubbard U", "state": "relaxed", "energy_ev_per_atom": -5.249, "formation_energy_ev_per_atom": -1.31, "total_magnetization_mub_per_fu": 0.00, "cell": [[-5.808, -3.589, -6.140], [-6.725, -4.877, 4.013], [-6.636, 9.232, -4.530]], "species": ["Ni", "Ni", "Ni", "Ni", "Te", "Te", "Te", "Te", "Te", "Te", "Te", "Te", "Te", "Te", "Te", "Te", "Te", "Te", "Te", "Te", "O", "O", "O", "O", "O", "O", "O", "O", "O", "O", "O", "O", "O", "O", "O", "O", "O", "O", "O", "O", "O", "O", "O", "O", "O", "O", "O", "O", "O", "O", "O", "O", "O", "O", "O", "O", "O", "O", "O", "O", "O", "O", "O", "O", "O", "O", "O", "O"], "fractional_positions": [[0.499, 0.789, 0.297], [0.749, 0.539, 0.797], [0.999, 0.289, 0.297], [0.249, 0.039, 0.797], [0.494, 0.489, 0.992], [0.994, 0.989, 0.992], [0.244, 0.739, 0.492], [0.744, 0.239, 0.492], [0.631, 0.871, 0.736], [0.131, 0.371, 0.736], [0.381, 0.121, 0.236], [0.881, 0.621, 0.236], [0.247, 0.261, 0.999], [0.747, 0.761, 0.999], [0.997, 0.511, 0.499], [0.497, 0.011, 0.499], [0.878, 0.108, 0.736], [0.378, 0.607, 0.736], [0.628, 0.358, 0.236], [0.128, 0.857, 0.236], [0.676, 0.739, 0.377], [0.176, 0.239, 0.377], [0.426, 0.989, 0.877], [0.926, 0.489, 0.877], [0.693, 0.057, 0.496], [0.193, 0.557, 0.496], [0.443, 0.307, 0.996], [0.943, 0.807, 0.996], [0.886, 0.169, 0.588], [0.386, 0.669, 0.588], [0.636, 0.419, 0.088], [0.136, 0.919, 0.088], [0.476, 0.942, 0.652], [0.976, 0.442, 0.652], [0.225, 0.192, 0.152], [0.725, 0.693, 0.152], [0.040, 0.876, 0.641], [0.540, 0.376, 0.641], [0.790, 0.126, 0.141], [0.290, 0.626, 0.141], [0.684, 0.059, 0.743], [0.184, 0.558, 0.743], [0.434, 0.309, 0.243], [0.934, 0.809, 0.243], [0.074, 0.158, 0.727], [0.574, 0.658, 0.727], [0.824, 0.408, 0.227], [0.324, 0.908, 0.227], [0.708, 0.342, 0.831], [0.208, 0.842, 0.831], [0.458, 0.592, 0.331], [0.958, 0.092, 0.331], [0.270, 0.258, 0.812], [0.770, 0.758, 0.812], [0.020, 0.508, 0.312], [0.520, 0.008, 0.312], [0.863, 0.048, 0.886], [0.363, 0.548, 0.886], [0.613, 0.298, 0.386], [0.113, 0.798, 0.386], [0.070, 0.151, 0.969], [0.570, 0.651, 0.969], [0.820, 0.401, 0.469], [0.320, 0.901, 0.469], [0.061, 0.493, 0.078], [0.561, 0.993, 0.078], [0.811, 0.743, 0.578], [0.311, 0.243, 0.578]]}


Record 5
{"formula": "NiTe2O5", "functional": "PBE with a Hubbard U", "state": "relaxed", "space_group": "Pnma, No. 62", "energy_ev_per_atom": -5.307, "formation_energy_ev_per_atom": -1.45, "total_magnetization_mub_per_fu": 2.00, "cell": [[9.019, 0.000, 0.000], [0.000, 12.303, 0.000], [0.000, 0.000, 8.516]], "species": ["Ni", "Ni", "Ni", "Ni", "Ni", "Ni", "Ni", "Ni", "Te", "Te", "Te", "Te", "Te", "Te", "Te", "Te", "Te", "Te", "Te", "Te", "Te", "Te", "Te", "Te", "O", "O", "O", "O", "O", "O", "O", "O", "O", "O", "O", "O", "O", "O", "O", "O", "O", "O", "O", "O", "O", "O", "O", "O", "O", "O", "O", "O", "O", "O", "O", "O", "O", "O", "O", "O", "O", "O", "O", "O"], "fractional_positions": [[0.017, 0.123, 0.015], [0.017, 0.377, 0.015], [0.483, 0.623, 0.515], [0.483, 0.877, 0.515], [0.517, 0.123, 0.485], [0.517, 0.377, 0.485], [0.983, 0.623, 0.985], [0.983, 0.877, 0.985], [0.105, 0.250, 0.698], [0.151, 0.514, 0.340], [0.151, 0.986, 0.340], [0.166, 0.750, 0.681], [0.334, 0.250, 0.181], [0.349, 0.014, 0.840], [0.349, 0.486, 0.840], [0.395, 0.750, 0.198], [0.605, 0.250, 0.802], [0.651, 0.514, 0.160], [0.651, 0.986, 0.160], [0.666, 0.750, 0.819], [0.834, 0.250, 0.319], [0.849, 0.014, 0.660], [0.849, 0.486, 0.660], [0.895, 0.750, 0.302], [0.008, 0.627, 0.409], [0.008, 0.873, 0.409], [0.035, 0.750, 0.133], [0.115, 0.513, 0.120], [0.115, 0.987, 0.120], [0.121, 0.250, 0.155], [0.156, 0.630, 0.824], [0.156, 0.870, 0.824], [0.190, 0.116, 0.852], [0.190, 0.384, 0.852], [0.310, 0.616, 0.352], [0.310, 0.884, 0.352], [0.344, 0.130, 0.324], [0.344, 0.370, 0.324], [0.379, 0.750, 0.655], [0.385, 0.013, 0.620], [0.385, 0.487, 0.620], [0.465, 0.250, 0.633], [0.492, 0.127, 0.909], [0.492, 0.373, 0.909], [0.508, 0.627, 0.091], [0.508, 0.873, 0.091], [0.535, 0.750, 0.367], [0.615, 0.513, 0.380], [0.615, 0.987, 0.380], [0.621, 0.250, 0.345], [0.656, 0.630, 0.676], [0.656, 0.870, 0.676], [0.690, 0.116, 0.648], [0.690, 0.384, 0.648], [0.810, 0.616, 0.148], [0.810, 0.884, 0.148], [0.844, 0.130, 0.176], [0.844, 0.370, 0.176], [0.879, 0.750, 0.845], [0.885, 0.013, 0.880], [0.885, 0.487, 0.880], [0.965, 0.250, 0.867], [0.992, 0.127, 0.591], [0.992, 0.373, 0.591]]}


Record 6
{"formula": "Ni3Te2O8", "functional": "PBE with a Hubbard U", "state": "relaxed", "space_group": "P2_1, No. 4", "energy_ev_per_atom": -5.103, "formation_energy_ev_per_atom": -1.25, "total_magnetization_mub_per_fu": 5.00, "de_polymorph_mev_per_atom": 0, "cell": [[12.944, 0.000, 0.000], [0.000, 4.969, 0.000], [-6.438, 0.000, 11.272]], "species": ["Ni", "Ni", "Ni", "Ni", "Ni", "Ni", "Ni", "Ni", "Ni", "Ni", "Ni", "Ni", "Te", "Te", "Te", "Te", "Te", "Te", "Te", "Te", "O", "O", "O", "O", "O", "O", "O", "O", "O", "O", "O", "O", "O", "O", "O", "O", "O", "O", "O", "O", "O", "O", "O", "O", "O", "O", "O", "O", "O", "O", "O", "O"], "fractional_positions": [[0.068, 0.000, 0.137], [0.068, 0.001, 0.431], [0.142, 0.498, 0.068], [0.142, 0.500, 0.573], [0.429, 0.492, 0.069], [0.429, 0.492, 0.860], [0.571, 0.992, 0.140], [0.571, 0.992, 0.931], [0.858, 0.000, 0.427], [0.858, 0.998, 0.932], [0.932, 0.500, 0.863], [0.932, 0.501, 0.569], [0.167, 0.390, 0.833], [0.216, 0.560, 0.357], [0.361, 0.056, 0.222], [0.363, 0.056, 0.639], [0.637, 0.556, 0.361], [0.639, 0.556, 0.778], [0.784, 0.060, 0.643], [0.833, 0.890, 0.167], [0.020, 0.195, 0.541], [0.021, 0.193, 0.979], [0.095, 0.820, 0.297], [0.097, 0.610, 0.902], [0.097, 0.611, 0.694], [0.179, 0.325, 0.229], [0.182, 0.327, 0.450], [0.226, 0.824, 0.174], [0.227, 0.826, 0.551], [0.295, 0.295, 0.090], [0.295, 0.296, 0.705], [0.306, 0.608, 0.903], [0.374, 0.645, 0.433], [0.447, 0.817, 0.176], [0.447, 0.817, 0.771], [0.458, 0.188, 0.979], [0.542, 0.688, 0.021], [0.553, 0.317, 0.229], [0.553, 0.317, 0.824], [0.626, 0.145, 0.567], [0.694, 0.108, 0.097], [0.705, 0.795, 0.910], [0.705, 0.796, 0.295], [0.773, 0.326, 0.449], [0.774, 0.324, 0.826], [0.818, 0.827, 0.550], [0.821, 0.825, 0.771], [0.903, 0.110, 0.098], [0.903, 0.111, 0.306], [0.905, 0.320, 0.703], [0.979, 0.693, 0.021], [0.980, 0.695, 0.459]]}


Record 7
{"formula": "Ni5Te3O18", "functional": "PBE with a Hubbard U", "state": "relaxed", "space_group": "C2/c, No. 15", "energy_ev_per_atom": -4.811, "formation_energy_ev_per_atom": -0.88, "total_magnetization_mub_per_fu": 1.69, "cell": [[7.045, -4.284, 0.000], [7.045, 4.284, 0.000], [-1.105, 0.000, 10.256]], "species": ["Ni", "Ni", "Ni", "Ni", "Ni", "Ni", "Ni", "Ni", "Ni", "Ni", "Te", "Te", "Te", "Te", "Te", "Te", "O", "O", "O", "O", "O", "O", "O", "O", "O", "O", "O", "O", "O", "O", "O", "O", "O", "O", "O", "O", "O", "O", "O", "O", "O", "O", "O", "O", "O", "O", "O", "O", "O", "O", "O", "O"], "fractional_positions": [[0.001, 0.314, 0.776], [0.166, 0.520, 0.963], [0.169, 0.831, 0.750], [0.314, 0.001, 0.276], [0.480, 0.834, 0.537], [0.520, 0.166, 0.463], [0.686, 0.999, 0.724], [0.831, 0.169, 0.250], [0.834, 0.480, 0.037], [0.999, 0.686, 0.224], [0.000, 0.000, 0.000], [0.000, 0.000, 0.500], [0.327, 0.348, 0.709], [0.348, 0.327, 0.209], [0.652, 0.673, 0.791], [0.673, 0.652, 0.291], [0.068, 0.757, 0.063], [0.075, 0.076, 0.175], [0.076, 0.075, 0.675], [0.087, 0.390, 0.637], [0.088, 0.450, 0.118], [0.093, 0.772, 0.582], [0.228, 0.907, 0.918], [0.238, 0.276, 0.857], [0.243, 0.932, 0.437], [0.245, 0.573, 0.295], [0.250, 0.579, 0.810], [0.276, 0.238, 0.357], [0.390, 0.087, 0.137], [0.404, 0.406, 0.557], [0.406, 0.404, 0.057], [0.421, 0.750, 0.690], [0.427, 0.755, 0.205], [0.450, 0.088, 0.618], [0.550, 0.912, 0.382], [0.573, 0.245, 0.795], [0.579, 0.250, 0.310], [0.594, 0.596, 0.943], [0.596, 0.594, 0.443], [0.610, 0.913, 0.863], [0.724, 0.762, 0.643], [0.750, 0.421, 0.190], [0.755, 0.427, 0.705], [0.757, 0.068, 0.563], [0.762, 0.724, 0.143], [0.772, 0.093, 0.082], [0.907, 0.228, 0.418], [0.912, 0.550, 0.882], [0.913, 0.610, 0.363], [0.924, 0.925, 0.325], [0.925, 0.924, 0.825], [0.932, 0.243, 0.937]]}


Record 8
{"formula": "Ni5Te2O12", "functional": "PBE with a Hubbard U", "state": "relaxed", "space_group": "C2, No. 5", "energy_ev_per_atom": -5.090, "formation_energy_ev_per_atom": -1.22, "total_magnetization_mub_per_fu": 8.00, "cell": [[2.540, -4.521, 0.000], [2.540, 4.521, 0.000], [-2.263, 0.000, 9.689]], "species": ["Ni", "Ni", "Ni", "Ni", "Ni", "Te", "Te", "O", "O", "O", "O", "O", "O", "O", "O", "O", "O", "O", "O"], "fractional_positions": [[0.000, 0.000, 0.000], [0.425, 0.048, 0.243], [0.506, 0.494, 0.500], [0.845, 0.155, 0.500], [0.952, 0.575, 0.757], [0.174, 0.826, 0.500], [0.672, 0.328, 0.000], [0.015, 0.733, 0.110], [0.140, 0.092, 0.386], [0.214, 0.561, 0.615], [0.267, 0.985, 0.890], [0.383, 0.321, 0.117], [0.439, 0.786, 0.385], [0.552, 0.202, 0.611], [0.679, 0.617, 0.883], [0.742, 0.080, 0.112], [0.798, 0.448, 0.389], [0.908, 0.860, 0.614], [0.920, 0.258, 0.888]]}